Entry one
DFT (PBE-GGA) results for an optimized crystal structure of MgCu2O2.

POSCAR file:
```
MgCu2O2
1.0
0.6270 -2.8586 0.0972
-1.4771 -0.4105 -2.4948
5.4205 -0.3730 -4.7524
Mg Cu O
1 2 2
Direct
0.8484 0.1516 0.2500
0.1943 0.5001 0.5678
0.4999 0.8057 0.9322
0.3482 0.6518 0.2500
0.6092 0.3908 0.7500
```

Summary:
crystal system: monoclinic
M_tot: 0.029 μB per atom
symmetry: No. 5

Entry two
DFT (PBE-GGA) results for an optimized crystal structure of MgCu2O2.

POSCAR file:
```
MgCu2O2
1.0
3.2605 3.2849 -0.3172
1.9954 -1.9978 -0.1784
-0.4346 0.0782 -5.5735
Mg Cu O
1 2 2
Direct
0.5000 0.0000 0.5000
0.0000 0.5000 0.5000
0.5000 0.0000 0.0000
0.5150 0.4996 0.2465
0.4850 0.5004 0.7535
```

Summary:
crystal system: triclinic
M_tot: 0.145 μB per atom
symmetry: No. 2

Of them, entry one has the highest stability.

Entry one
DFT (PBE-GGA) results for an optimized crystal structure of MgCu2O2.

POSCAR file:
```
MgCu2O2
1.0
2.1197 2.1998 0.5070
3.1472 -3.2533 0.0771
-1.5897 -0.4080 -5.9571
Mg Cu O
1 2 2
Direct
0.0000 0.5000 0.0000
0.0000 0.5000 0.5000
0.5000 0.0000 0.0000
0.6352 0.3696 0.1866
0.3648 0.6304 0.8134
```

Summary:
crystal system: triclinic
M_tot: 0.000 μB per atom
symmetry: No. 2

Entry two
DFT (PBE-GGA) results for an optimized crystal structure of MgCu2O2.

POSCAR file:
```
MgCu2O2
1.0
-0.8892 -1.7266 2.1438
-2.0021 1.9512 0.7434
-5.0208 -3.3189 -4.7262
Mg Cu O
1 2 2
Direct
0.0066 0.9934 0.7500
0.9901 0.4939 0.4147
0.5061 0.0099 0.0853
0.4903 0.5097 0.2500
0.5069 0.4931 0.7500
```

Summary:
crystal system: monoclinic
M_tot: 0.052 μB per atom
symmetry: No. 5

Of them, entry one has the highest stability.

Entry one
DFT (PBE-GGA) results for an optimized crystal structure of MgCu4O8.

POSCAR file:
```
MgCu4O8
1.0
5.0717 -0.0429 2.8597
1.6505 4.7985 2.8593
-0.0611 -0.0438 5.8253
Mg Cu O
1 4 8
Direct
0.0000 0.0000 0.0000
0.5000 0.5000 0.5000
0.5000 0.0000 0.5000
0.0000 0.5000 0.5000
0.5000 0.5000 0.0000
0.7462 0.7463 0.2859
0.7357 0.7358 0.7360
0.2538 0.2537 0.7141
0.2538 0.7144 0.2536
0.2643 0.2642 0.2640
0.7138 0.2539 0.2537
0.7462 0.2856 0.7464
0.2862 0.7461 0.7464
```

Summary:
crystal system: trigonal
M_tot: 0.406 μB per atom
symmetry: No. 166

Entry two
DFT (PBE-GGA) results for an optimized crystal structure of MgCu4O8.

POSCAR file:
```
MgCu4O8
1.0
-1.8868 -2.3831 -4.5266
4.4785 -6.3207 -1.8345
-0.0068 -7.9445 0.8186
Mg Cu O
1 4 8
Direct
0.3747 0.3780 0.3718
0.4616 0.5358 0.5374
0.5371 0.9648 0.4622
0.9641 0.5360 0.5373
0.5371 0.4618 0.9646
0.7011 0.7763 0.3269
0.7771 0.7021 0.6961
0.2533 0.2829 0.7079
0.2546 0.7099 0.2844
0.2835 0.2524 0.2552
0.7096 0.2549 0.2516
0.6956 0.3243 0.7769
0.3257 0.6958 0.7027
```

Summary:
crystal system: triclinic
M_tot: 0.000 μB per atom
symmetry: No. 1

Of them, entry one has the highest stability.

Entry one
DFT (PBE-GGA) results for an optimized crystal structure of MgCuP4Ru2O14.

POSCAR file:
```
MgCuP4Ru2O14
1.0
-2.1100 3.9234 2.3897
0.2233 1.5067 -6.6569
-7.4418 -3.8209 -0.7976
Mg Cu P Ru O
1 1 4 2 14
Direct
0.4463 0.2090 0.8188
0.9823 0.0049 0.4822
0.4092 0.7557 0.8086
0.6136 0.2506 0.1920
0.0185 0.6576 0.2683
0.9775 0.3486 0.7295
0.4964 0.5054 0.4937
0.9954 0.0000 0.0063
0.1480 0.8335 0.1623
0.8406 0.1790 0.8435
0.4975 0.7587 0.6360
0.4979 0.2478 0.3589
0.1990 0.5219 0.8366
0.7984 0.4826 0.1570
0.2329 0.9064 0.8237
0.7921 0.1062 0.1828
0.2238 0.5590 0.3348
0.7331 0.4165 0.6699
0.6290 0.7734 0.9385
0.3897 0.2222 0.0535
0.1569 0.2674 0.6096
0.8384 0.7250 0.3981
```

Summary:
crystal system: triclinic
M_tot: 0.048 μB per atom
symmetry: No. 1

Entry two
DFT (PBE-GGA) results for an optimized crystal structure of MgCuP4Ru2O14.

POSCAR file:
```
MgCuP4Ru2O14
1.0
-3.5430 1.4456 3.3023
-2.5346 1.3149 -6.1954
-2.9803 -8.1664 -0.3781
Mg Cu P Ru O
1 1 4 2 14
Direct
0.4623 0.9193 0.0625
0.0000 0.0041 0.5003
0.3913 0.7328 0.7973
0.6087 0.2726 0.1995
0.0066 0.6602 0.2834
0.9871 0.3387 0.7191
0.4989 0.5009 0.5014
0.9907 0.0059 0.9961
0.1313 0.8346 0.1758
0.8575 0.1663 0.8230
0.4691 0.7485 0.6303
0.5266 0.2603 0.3664
0.2149 0.5035 0.8284
0.7835 0.5015 0.1682
0.2309 0.8829 0.8442
0.7861 0.1205 0.1759
0.2193 0.5582 0.3409
0.7859 0.4487 0.6545
0.6338 0.7610 0.9235
0.3753 0.2182 0.0731
0.1606 0.2719 0.5928
0.8380 0.7340 0.4057
```

Summary:
crystal system: triclinic
M_tot: 0.045 μB per atom
symmetry: No. 1

Of them, entry one has the highest stability.

Entry one
DFT (PBE-GGA) results for an optimized crystal structure of MgCuP4Ru2O14.

POSCAR file:
```
MgCuP4Ru2O14
1.0
-1.7489 4.6164 -0.7405
2.2549 -0.0714 6.4317
7.7244 1.7139 -3.2958
Mg Cu P Ru O
1 1 4 2 14
Direct
0.9039 0.8842 0.6486
0.0250 0.1594 0.3839
0.3812 0.7238 0.8351
0.6004 0.2617 0.1887
0.9933 0.6632 0.2926
0.0045 0.3287 0.7244
0.4991 0.4934 0.5087
0.9906 0.9921 0.0112
0.1081 0.8439 0.1999
0.8793 0.1329 0.8034
0.4999 0.7413 0.6717
0.5009 0.2472 0.3551
0.2313 0.4848 0.8485
0.7589 0.4981 0.1739
0.1494 0.8372 0.8307
0.8235 0.1377 0.1819
0.2076 0.5565 0.3479
0.8018 0.4420 0.6671
0.5991 0.7854 0.9725
0.3770 0.2017 0.0521
0.1788 0.2563 0.5961
0.8336 0.7266 0.4325
```

Summary:
crystal system: triclinic
M_tot: 0.045 μB per atom
symmetry: No. 1

Entry two
DFT (PBE-GGA) results for an optimized crystal structure of MgCuP4Ru2O14.

POSCAR file:
```
MgCuP4Ru2O14
1.0
4.9695 0.0012 0.1553
-2.1343 -6.5060 0.2309
0.0357 0.0703 -8.4140
Mg Cu P Ru O
1 1 4 2 14
Direct
0.4178 0.5358 0.0655
0.0171 0.9997 0.5133
0.3836 0.7623 0.7977
0.6034 0.2335 0.2028
0.0352 0.6610 0.2719
0.9571 0.3422 0.7296
0.5007 0.4972 0.5004
0.9959 0.0003 0.9968
0.1458 0.8247 0.1537
0.8454 0.1692 0.8396
0.4801 0.7566 0.6285
0.5146 0.2331 0.3742
0.1945 0.5225 0.8433
0.7835 0.4835 0.1691
0.2027 0.9027 0.8155
0.7893 0.1002 0.1764
0.2709 0.5609 0.2983
0.7361 0.4406 0.6836
0.6105 0.7760 0.9348
0.3703 0.2305 0.0732
0.1285 0.2861 0.5907
0.8922 0.7183 0.4192
```

Summary:
crystal system: triclinic
M_tot: 0.046 μB per atom
symmetry: No. 1

Entry three
DFT (PBE-GGA) results for an optimized crystal structure of MgCuP4Ru2O14.

POSCAR file:
```
MgCuP4Ru2O14
1.0
-3.1519 -1.0711 3.7765
-1.9075 5.8545 -2.6759
-4.8017 -4.4340 -5.3086
Mg Cu P Ru O
1 1 4 2 14
Direct
0.4277 0.0936 0.6163
0.9512 0.0436 0.4199
0.4169 0.7687 0.8076
0.6029 0.2313 0.2045
0.0273 0.6461 0.2719
0.9854 0.3445 0.7366
0.5104 0.5134 0.5006
0.0110 0.9955 0.0080
0.1547 0.8129 0.1554
0.8771 0.1760 0.8524
0.4986 0.7943 0.6283
0.5095 0.2261 0.3834
0.1902 0.5434 0.8279
0.7954 0.4633 0.1726
0.2564 0.9340 0.8237
0.7863 0.0822 0.1934
0.2336 0.5478 0.3366
0.7290 0.3881 0.6672
0.6450 0.7718 0.9248
0.3707 0.2099 0.0840
0.1600 0.2752 0.5994
0.8606 0.7309 0.4028
```

Summary:
crystal system: triclinic
M_tot: 0.045 μB per atom
symmetry: No. 1

Of them, entry one has the highest stability.

Entry one
DFT (PBE-GGA) results for an optimized crystal structure of MgCu2Pd2O4.

POSCAR file:
```
MgCu2Pd2O4
1.0
-0.9554 3.4878 3.0525
0.6196 3.8799 -4.2392
-4.2595 -0.2718 -1.0227
Mg Cu Pd O
1 2 2 4
Direct
0.1241 0.2500 0.2500
0.0167 0.8223 0.4985
0.0167 0.6777 0.0015
0.5168 0.4934 0.5109
0.5168 0.0066 0.9891
0.3223 0.7500 0.7500
0.7132 0.7500 0.2500
0.7107 0.2500 0.2500
0.2814 0.2500 0.7500
```

Summary:
crystal system: monoclinic
M_tot: 0.000 μB per atom
symmetry: No. 3

Entry two
DFT (PBE-GGA) results for an optimized crystal structure of MgCu2Pd2O4.

POSCAR file:
```
MgCu2Pd2O4
1.0
0.7492 0.7523 -4.6638
4.1970 2.9903 1.1565
2.8308 -3.7187 -0.6580
Mg Cu Pd O
1 2 2 4
Direct
0.0000 0.0000 0.0000
0.0000 0.0000 0.5000
0.0000 0.5000 0.0000
0.5000 0.5000 0.5000
0.5000 0.0000 0.0000
0.2412 0.7517 0.7566
0.7588 0.7517 0.2434
0.7588 0.2483 0.2434
0.2412 0.2483 0.7566
```

Summary:
crystal system: monoclinic
M_tot: 0.001 μB per atom
symmetry: No. 10

Of them, entry one has the highest stability.

Entry one
DFT (PBE-GGA) results for an optimized crystal structure of MgCuPdO2.

POSCAR file:
```
MgCuPdO2
1.0
0.0000 0.0000 4.4405
2.9461 0.0000 0.0000
0.0000 5.7505 0.0000
Mg Cu Pd O
1 1 1 2
Direct
0.0000 0.0000 0.5000
0.5000 0.5000 0.5000
0.0000 0.0000 0.0000
0.0000 0.5000 0.7440
0.0000 0.5000 0.2560
```

Summary:
crystal system: orthorhombic
M_tot: 0.000 μB per atom
symmetry: No. 47

Entry two
DFT (PBE-GGA) results for an optimized crystal structure of MgCuPdO2.

POSCAR file:
```
MgCuPdO2
1.0
0.5343 1.2091 2.4765
-2.5465 1.3653 -0.1172
-3.3254 -5.8937 3.5950
Mg Cu Pd O
1 1 1 2
Direct
0.5000 0.0000 0.7549
0.5000 0.5000 0.4439
0.0000 0.0000 0.0732
0.0000 0.5000 0.6661
0.0000 0.5000 0.2744
```

Summary:
crystal system: orthorhombic
M_tot: 0.089 μB per atom
symmetry: No. 25

Of them, entry two has the highest stability.

Entry one
DFT (PBE-GGA) results for an optimized crystal structure of MgCuPtO2.

POSCAR file:
```
MgCuPtO2
1.0
0.0000 0.0000 2.7893
2.8591 0.0000 0.0000
0.0000 7.7422 0.0000
Mg Cu Pt O
1 1 1 2
Direct
0.5000 0.0000 0.2449
0.5000 0.5000 0.5570
0.0000 0.0000 0.9328
0.0000 0.5000 0.7308
0.0000 0.5000 0.3471
```

Summary:
crystal system: orthorhombic
M_tot: 0.000 μB per atom
symmetry: No. 25

Entry two
DFT (PBE-GGA) results for an optimized crystal structure of MgCuPtO2.

POSCAR file:
```
MgCuPtO2
1.0
0.0000 0.0000 4.4951
2.9667 0.0000 0.0000
0.0000 5.7135 0.0000
Mg Cu Pt O
1 1 1 2
Direct
0.0000 0.0000 0.5000
0.5000 0.5000 0.5000
0.0000 0.0000 0.0000
0.0000 0.5000 0.7490
0.0000 0.5000 0.2510
```

Summary:
crystal system: orthorhombic
M_tot: 0.000 μB per atom
symmetry: No. 47

Entry three
DFT (PBE-GGA) results for an optimized crystal structure of MgCuPtO2.

POSCAR file:
```
MgCuPtO2
1.0
-0.4113 -2.3228 1.6365
-0.2477 2.6710 3.7290
-5.5542 0.4809 -0.7134
Mg Cu Pt O
1 1 1 2
Direct
0.5000 0.5000 0.0000
0.5000 0.5000 0.5000
0.0000 0.0000 0.0000
0.0000 0.5000 0.7424
0.0000 0.5000 0.2576
```

Summary:
crystal system: orthorhombic
M_tot: 0.227 μB per atom
symmetry: No. 47

Of them, entry one has the highest stability.